The following is a DFT calculation (PBE-GGA) of a relaxed NaHfTaSiP2O12 crystal.

```
NaHfTaSiP2O12
1.0
-7.323 -1.826 4.617
5.689 -6.464 -2.010
11.390 3.919 19.615
Na Hf Ta Si P O
6 6 6 6 12 72
Cartesian
5.685 1.919 9.782
11.386 3.880 19.586
6.484 -0.141 18.737
0.815 -2.093 8.912
3.213 -4.266 3.449
8.943 -2.297 13.235
2.387 -6.892 9.551
8.094 -4.930 19.352
4.813 -0.715 15.914
-0.808 -2.655 6.059
1.565 -4.792 0.606
7.277 -2.828 10.403
13.034 -3.936 10.663
0.036 -7.716 5.460
8.175 0.476 21.607
2.458 -1.488 11.812
4.860 -3.683 6.353
10.642 -1.702 16.106
1.688 -4.914 6.764
5.269 -3.482 17.905
1.528 -1.608 15.192
0.090 -2.506 2.701
12.279 1.095 17.426
4.440 -1.399 8.971
6.424 -5.988 4.224
4.488 -0.886 4.332
8.079 0.549 15.466
9.012 -4.803 15.991
4.141 1.294 13.105
5.293 -2.955 13.281
-2.495 -5.436 4.793
-3.673 -1.193 4.633
9.683 -1.840 19.506
13.424 -3.190 17.614
5.642 -5.669 9.122
8.200 -2.749 7.043
2.118 0.628 6.853
1.993 -5.478 8.231
-2.665 -1.743 10.109
8.686 1.627 16.350
6.616 -3.787 18.715
3.293 1.460 19.510
7.583 -5.018 15.387
7.824 1.106 14.020
12.424 -2.739 12.052
1.053 -6.114 5.823
3.143 -0.601 3.574
6.505 -5.827 2.668
2.993 -1.403 15.821
4.437 0.770 14.497
5.496 -1.964 14.419
-1.926 -4.354 5.700
-2.400 -1.474 5.409
0.020 -2.683 4.297
-1.430 -2.718 2.082
-2.769 -4.866 3.362
-3.854 -2.218 3.459
3.544 0.166 12.193
3.963 -2.648 12.516
1.628 -1.416 13.552
11.066 -1.673 20.134
12.563 0.499 18.891
13.614 -2.228 18.771
6.242 -4.606 10.021
5.804 -1.726 9.755
8.173 -2.934 8.559
6.785 -2.942 6.428
5.380 -5.114 7.682
4.297 -2.496 7.727
11.633 -0.128 16.500
12.087 -2.902 16.851
9.742 -1.665 17.962
9.204 -3.759 6.478
4.351 -6.188 9.761
4.504 0.114 8.434
11.275 2.341 17.564
14.631 -3.086 16.678
9.169 -3.228 19.898
0.498 -0.469 15.792
5.469 1.766 12.428
5.194 -4.415 13.835
-1.481 -6.618 4.645
-4.910 -1.361 5.574
0.599 -0.983 2.329
4.326 0.658 17.412
6.784 0.057 16.099
5.337 -1.952 17.393
0.698 -3.649 6.920
-1.641 -2.583 8.013
0.197 -0.911 6.616
8.703 -0.765 20.080
6.368 -0.255 21.344
7.640 1.805 20.161
0.953 -0.401 10.978
3.150 -1.597 9.975
1.368 -3.133 11.306
1.146 -3.595 2.149
3.550 -4.155 0.817
2.059 -6.229 2.088
8.864 -3.993 11.196
6.507 -2.879 12.352
8.356 -1.258 11.002
5.455 -4.906 4.774
3.107 -4.434 6.048
4.415 -2.350 4.870
9.071 -0.650 15.333
11.284 -1.855 14.291
9.476 -3.364 15.638
```

E_tot: -8.209 eV/atom
energy relative to the elements: -3180 meV/atom



The following is a DFT calculation (PBE-GGA) of a relaxed Na6MgSi2Sn3P4O24 crystal.

```
Na6MgSi2Sn3P4O24
1.0
12.935 0.001 -8.695
0.005 8.989 0.006
-0.142 0.007 9.044
Na Mg Si Sn P O
12 2 4 6 8 48
Cartesian
3.251 6.740 -2.165
9.573 6.704 -2.105
9.716 2.246 -6.516
3.103 2.209 2.239
6.444 0.796 2.477
6.430 8.027 -2.165
-0.021 5.290 6.828
12.895 3.533 -6.516
10.354 8.281 -5.109
2.267 0.769 5.695
3.884 3.786 -0.765
8.737 5.263 1.351
1.336 2.202 -0.353
7.806 6.696 -4.697
8.316 8.084 1.133
4.519 0.904 -0.752
1.846 3.590 5.477
10.989 5.399 -5.096
1.274 6.757 4.164
11.480 6.777 0.695
11.552 2.258 -3.784
7.740 2.263 -0.186
5.009 2.283 5.039
5.087 6.752 0.567
12.794 8.608 -1.906
-0.008 0.410 2.296
6.324 4.113 2.439
6.462 4.905 -2.049
4.488 8.059 3.787
8.345 0.969 -3.403
10.953 3.566 -0.564
1.880 5.463 0.948
1.920 5.240 5.367
10.894 5.143 -0.561
10.968 3.742 -5.060
1.918 3.932 0.878
8.385 0.746 1.016
4.424 0.648 3.783
4.503 8.236 -0.710
8.388 8.427 -3.467
5.425 4.870 1.408
7.089 5.048 3.342
7.319 4.092 -1.040
5.631 3.957 -2.954
11.890 0.376 -2.943
0.619 0.553 7.686
0.853 8.586 3.310
12.101 8.452 -7.298
3.198 7.562 4.511
9.561 7.354 0.329
9.587 1.548 -4.145
3.280 1.628 -0.047
9.663 3.068 0.161
3.091 2.860 4.673
3.121 6.042 0.205
9.750 6.122 -4.391
4.473 7.725 2.265
8.262 7.759 2.705
8.320 1.362 -1.913
4.597 1.163 -2.403
10.939 3.231 -2.085
1.792 3.264 7.049
1.854 5.855 2.437
11.067 5.657 -6.747
5.718 7.549 4.503
6.985 7.445 0.366
7.103 1.537 -4.161
5.894 1.490 -0.056
12.184 3.055 0.153
0.515 2.950 4.711
0.638 6.030 0.189
12.364 5.985 -4.400
0.954 7.762 6.022
11.865 7.571 -1.209
11.791 1.186 -5.626
0.878 1.404 1.569
7.420 3.269 1.672
5.395 3.076 3.135
5.326 5.680 -1.275
7.348 5.898 -2.775
```

E_tot: -6.511 eV/atom
offset from the most stable computed form: 6 meV per atom
energy relative to the elements: -2602 meV/atom



The following is a DFT calculation (PBE-GGA) of a relaxed CuSnPd2 crystal.

```
CuSnPd2
1.0
3.965 0.000 0.000
0.000 7.950 0.000
0.000 0.000 8.052
Cu Sn Pd
4 4 8
Cartesian
0.000 0.000 0.000
0.000 3.975 4.026
1.983 1.979 4.026
1.983 5.970 4.026
0.000 1.985 6.053
0.000 5.965 1.999
0.000 1.985 1.999
0.000 5.965 6.053
0.000 3.975 0.000
1.983 0.000 6.011
1.983 0.000 2.041
1.983 1.950 0.000
1.983 6.000 0.000
0.000 0.000 4.026
1.983 3.975 5.876
1.983 3.975 2.176
```

E_tot: -4.959 eV/atom
energy relative to the elements: -342 meV/atom



The following is a DFT calculation (PBE-GGA) of a relaxed Hf3Si2 crystal.

```
Hf3Si2
1.0
7.031 0.000 0.000
0.000 7.031 0.000
0.000 0.000 3.671
Hf Si
6 4
Cartesian
5.813 4.733 1.836
2.297 5.813 1.836
1.218 2.297 1.836
4.733 1.218 1.836
3.515 3.515 0.000
0.000 0.000 0.000
0.871 4.387 0.000
4.387 6.159 0.000
2.644 0.871 0.000
6.159 2.644 0.000
```

E_tot: -8.943 eV/atom
energy relative to the elements: -770 meV/atom



The following is a DFT calculation (PBE-GGA) of a relaxed Zr5CuSn3 crystal.

```
Zr5CuSn3
1.0
4.339 -7.516 0.000
4.339 7.516 0.000
0.000 0.000 5.877
Zr Cu Sn
10 2 6
Cartesian
4.339 -2.505 2.938
4.339 2.505 2.938
4.339 2.505 0.000
4.339 -2.505 0.000
6.372 0.000 1.469
1.153 -1.998 1.469
1.153 1.998 1.469
2.307 0.000 4.407
3.186 -5.518 4.407
3.186 5.518 4.407
0.000 0.000 2.938
0.000 0.000 0.000
3.334 0.000 1.469
2.672 -4.628 1.469
2.672 4.628 1.469
5.345 0.000 4.407
1.667 -2.888 4.407
1.667 2.888 4.407
```

E_tot: -7.081 eV/atom
energy relative to the elements: -540 meV/atom



The following is a DFT calculation (PBE-GGA) of a relaxed Ba2DyCu2HgO7 crystal.

```
Ba2DyCu2HgO7
1.0
-2.440 1.661 2.499
-2.597 0.443 -2.831
-5.020 -11.578 2.792
Ba Dy Cu Hg O
2 1 2 1 7
Cartesian
-3.540 -1.304 0.402
-6.517 -8.170 2.058
-5.029 -4.737 1.230
-1.887 -4.352 1.049
-3.133 -7.226 1.742
0.000 0.000 0.000
-0.823 -1.898 0.458
-4.197 -9.680 2.334
-3.255 -4.291 -0.327
-4.362 -6.844 0.288
-3.177 -3.682 2.338
-4.283 -6.235 2.953
-2.519 1.052 -0.166
```

E_tot: -5.696 eV/atom
energy relative to the elements: -2098 meV/atom



The following is a DFT calculation (PBE-GGA) of a relaxed DyNbO4 crystal.

```
DyNbO4
1.0
0.000 -3.427 -3.840
0.000 -3.726 3.840
-5.564 3.576 0.000
Dy Nb O
2 2 8
Cartesian
-4.136 -0.857 -0.960
-1.428 -2.720 0.960
-4.362 -1.006 2.880
-1.202 -2.570 -2.880
-2.338 -1.113 -2.530
-2.338 -0.601 0.610
-3.226 -2.463 2.530
-3.226 -2.976 -0.610
-5.199 2.485 0.782
-5.199 -0.771 1.138
-0.365 -6.061 -0.782
-0.365 -2.805 -1.138
```

E_tot: -8.863 eV/atom
energy relative to the elements: -3571 meV/atom



The following is a DFT calculation (PBE-GGA) of a relaxed Ho2Pt2O7 crystal.

```
Ho2Pt2O7
1.0
1.556 -6.378 3.091
2.713 -0.206 6.727
-4.069 -2.465 5.479
Ho Pt O
4 4 14
Cartesian
2.160 -4.423 6.821
0.125 -5.655 9.561
-1.231 -5.552 6.197
-0.653 -2.466 8.015
0.025 -1.131 1.912
0.803 -4.320 3.458
1.382 -1.234 5.276
-2.009 -2.363 4.652
-0.581 -1.458 5.801
2.461 -5.691 8.877
0.925 -5.574 5.068
-1.083 -4.135 4.224
0.150 -6.786 11.473
-1.758 -1.369 2.884
1.183 -0.389 3.425
-1.380 -6.970 8.171
1.580 -2.079 7.127
-2.261 -3.358 6.420
0.100 -4.524 7.649
0.681 -3.066 1.848
1.858 -3.155 4.765
-0.724 -3.474 10.230
```

E_tot: -7.118 eV/atom
energy relative to the elements: -2469 meV/atom



The following is a DFT calculation (PBE-GGA) of a relaxed Mg16Al12F crystal.

```
Mg16Al12F
1.0
7.381 5.307 0.000
-7.381 5.307 0.000
0.000 5.197 7.450
Mg Al F
16 12 1
Cartesian
0.000 6.947 2.361
0.000 10.612 0.175
0.000 11.125 5.287
0.000 3.564 4.926
-1.857 5.034 0.129
-2.139 9.071 4.383
5.054 9.106 3.079
-2.534 1.997 0.045
4.431 6.793 5.144
-3.020 6.863 2.398
3.020 6.863 2.398
-4.431 6.793 5.144
2.534 1.997 0.045
-5.054 9.106 3.079
2.139 9.071 4.383
1.857 5.034 0.129
0.000 2.821 1.486
0.000 8.180 6.222
-1.393 6.238 4.831
-1.394 13.109 7.383
-1.407 11.525 2.761
4.533 4.424 1.380
4.499 9.664 6.074
-4.499 9.664 6.074
-4.533 4.424 1.380
1.407 11.525 2.761
1.394 13.109 7.383
1.393 6.238 4.831
0.000 5.265 1.186
```

E_tot: -2.619 eV/atom
energy relative to the elements: -136 meV/atom



The following is a DFT calculation (PBE-GGA) of a relaxed KUTe2O8 crystal.

```
KUTe2O8
1.0
-3.873 -4.618 0.000
-3.873 4.618 0.000
0.000 0.000 -11.909
K U Te O
2 2 4 16
Cartesian
-3.873 0.000 -5.954
-3.873 0.000 0.000
0.000 0.000 -5.954
0.000 0.000 0.000
-5.829 -1.629 -8.931
-5.829 1.629 -2.977
-1.917 1.629 -2.977
-1.917 -1.629 -8.931
-3.873 -2.850 -6.487
-3.873 2.850 -5.421
-3.873 -2.850 -11.376
-3.873 2.850 -0.533
-6.154 -0.437 -7.494
-6.154 0.437 -4.415
-6.154 -0.437 -10.369
-6.154 0.437 -1.540
-1.592 0.437 -4.415
-1.592 -0.437 -7.494
-1.592 0.437 -1.540
-1.592 -0.437 -10.369
-3.873 -0.988 -8.931
-3.873 0.988 -2.977
-3.873 2.247 -8.931
-3.873 -2.247 -2.977
```

E_tot: -6.656 eV/atom
energy relative to the elements: -2258 meV/atom



The following is a DFT calculation (PBE-GGA) of a relaxed Tb4Ni3Bi8 crystal.

```
Tb4Ni3Bi8
1.0
-0.086 -2.420 3.841
-3.145 -2.739 -1.796
13.494 -11.104 -6.693
Tb Ni Bi
4 3 8
Cartesian
5.174 -5.503 -0.667
11.927 -11.060 -4.017
-0.048 -2.624 -1.654
6.705 -8.180 -5.004
5.132 -8.132 -2.324
0.000 0.000 0.000
6.747 -5.552 -3.347
0.894 -1.982 1.455
7.716 -7.595 -1.928
4.163 -6.089 -3.743
10.984 -11.702 -7.127
1.744 -5.344 -0.644
8.519 -10.919 -4.005
3.361 -2.766 -1.667
10.133 -8.338 -5.026
```

E_tot: -4.949 eV/atom
energy relative to the elements: -483 meV/atom



The lowest energy relative to the elements belongs to which entry? DyNbO4



The highest energy relative to the elements belongs to which entry? Mg16Al12F